(1)
# Na2CaSi | the Materials Project | PBE | optimized geometry
data_Na2CaSi
_chemical_formula_sum 'Na8 Ca4 Si4'
_symmetry_space_group_name_H-M 'F -4 3 m'
_symmetry_Int_Tables_number 216
_symmetry_space_group_name_Hall 'F -4 2 3'
_cell_length_a 7.339
_cell_length_b 7.339
_cell_length_c 7.339
_cell_angle_alpha 90.00
_cell_angle_beta 90.00
_cell_angle_gamma 90.00
loop_
_atom_site_label
_atom_site_fract_x
_atom_site_fract_y
_atom_site_fract_z
Na1 0.000 0.000 0.000
Na2 0.250 0.250 0.250
Ca1 0.000 0.000 0.500
Si1 0.250 0.250 0.750
# ΔH_f (0 K): -0.05 eV per atom
# E (MP2020): -2.572 eV per atom

---

(2)
# Hg | the Materials Project | PBE | optimized geometry
data_Hg
_chemical_formula_sum 'Hg3'
_symmetry_space_group_name_H-M 'R -3 m'
_symmetry_Int_Tables_number 166
_symmetry_space_group_name_Hall '-R 3 2"'
_cell_length_a 3.5401
_cell_length_b 3.5401
_cell_length_c 23.2891
_cell_angle_alpha 90.00
_cell_angle_beta 90.00
_cell_angle_gamma 120.00
loop_
_atom_site_label
_atom_site_fract_x
_atom_site_fract_y
_atom_site_fract_z
Hg1 0.0000 0.0000 0.0000
# ΔH_f (0 K): 0.08 eV per atom
# energy above the lowest structure with this stoichiometry: 84 meV per atom

---

(3)
# SrMg6SiO8 | the Materials Project | PBE | optimized geometry
data_SrMg6SiO8
_chemical_formula_sum 'Sr1 Mg6 Si1 O8'
_symmetry_space_group_name_H-M 'P 4/m m m'
_symmetry_Int_Tables_number 123
_symmetry_space_group_name_Hall '-P 4 2'
_cell_length_a 4.520
_cell_length_b 4.520
_cell_length_c 8.884
_cell_angle_alpha 90.00
_cell_angle_beta 90.00
_cell_angle_gamma 90.00
loop_
_atom_site_label
_atom_site_fract_x
_atom_site_fract_y
_atom_site_fract_z
Sr1 0.000 0.000 0.000
Mg1 0.000 0.000 0.500
Mg2 0.000 0.500 0.265
Mg3 0.500 0.500 0.500
Si1 0.500 0.500 0.000
O1 0.000 0.000 0.273
O2 0.000 0.500 0.000
O3 0.000 0.500 0.500
O4 0.500 0.500 0.265
# ΔH_f (0 K): -2.60 eV per atom
# energy above the lowest structure with this stoichiometry: 0 meV per atom
# E (MP2020): -6.116 eV per atom

---

(4)
# Li3SbN2 | the Materials Project | PBE | optimized geometry
data_Li3SbN2
_chemical_formula_sum 'Li48 Sb16 N32'
_symmetry_space_group_name_H-M 'I a -3'
_symmetry_Int_Tables_number 206
_symmetry_space_group_name_Hall '-I 2b 2c 3'
_cell_length_a 10.578
_cell_length_b 10.578
_cell_length_c 10.578
_cell_angle_alpha 90.00
_cell_angle_beta 90.00
_cell_angle_gamma 90.00
loop_
_atom_site_label
_atom_site_fract_x
_atom_site_fract_y
_atom_site_fract_z
Li1 0.107 0.159 0.361
Sb1 0.106 0.106 0.106
N1 0.000 0.250 0.496
N2 0.250 0.250 0.250
# ΔH_f (0 K): -0.19 eV per atom
# energy above the lowest structure with this stoichiometry: 6 meV per atom
# E (MP2020): -4.615 eV per atom

---

(5)
# Ca2ZrNbO6 | the Materials Project | PBE | optimized geometry
data_Ca2ZrNbO6
_chemical_formula_sum 'Ca8 Zr4 Nb4 O24'
_symmetry_space_group_name_H-M 'F m -3 m'
_symmetry_Int_Tables_number 225
_symmetry_space_group_name_Hall '-F 4 2 3'
_cell_length_a 8.211
_cell_length_b 8.211
_cell_length_c 8.211
_cell_angle_alpha 90.00
_cell_angle_beta 90.00
_cell_angle_gamma 90.00
loop_
_atom_site_label
_atom_site_fract_x
_atom_site_fract_y
_atom_site_fract_z
Ca1 0.250 0.250 0.250
Zr1 0.000 0.000 0.000
Nb1 0.000 0.000 0.500
O1 0.000 0.000 0.254
# ΔH_f (0 K): -3.25 eV per atom
# E (MP2020): -8.488 eV per atom

---

(6)
# AlBi3F15 | the Materials Project | PBE | optimized geometry
data_AlBi3F15
_chemical_formula_sum 'Al2 Bi6 F30'
_symmetry_space_group_name_H-M 'P 1 21/m 1'
_symmetry_Int_Tables_number 11
_symmetry_space_group_name_Hall '-P 2yb'
_cell_length_a 5.746
_cell_length_b 11.023
_cell_length_c 11.013
_cell_angle_alpha 90.00
_cell_angle_beta 104.57
_cell_angle_gamma 90.00
loop_
_atom_site_label
_atom_site_fract_x
_atom_site_fract_y
_atom_site_fract_z
Al1 0.243 0.250 0.253
Bi1 0.119 0.054 0.664
Bi2 0.500 0.000 0.000
F1 0.026 0.250 0.682
F2 0.094 0.119 0.281
F3 0.131 0.592 0.521
F4 0.219 0.250 0.097
F5 0.241 0.116 0.892
F6 0.242 0.599 0.048
F7 0.422 0.580 0.821
F8 0.433 0.110 0.624
F9 0.492 0.750 0.642
# ΔH_f (0 K): -2.59 eV per atom
# E (MP2020): -4.909 eV per atom